This record from Materials Project describes a relaxed structure of CeSe2. The functional is PBE.

**Calculated formation energy**: -1397 meV per atom
**Mass density**: 2.01 g/cm3

Cell lengths 14.2466, 22.1627, 22.1627 Å; angles 66.22, 71.25, 71.25 degrees
Element x y z (fractional)
Se 0.0000 0.2208 0.2792
Se 0.5000 0.7792 0.7208
Se 0.0520 0.5438 0.3522
Se 0.3475 0.6037 0.2858
Se 0.3418 0.8574 0.8851
Ce 0.7567 0.4931 0.6266
Ce 0.3093 0.2599 0.7599
Se 0.3294 0.1400 0.2012
Ce 0.9469 0.1188 0.6188
Se 0.5163 0.2337 0.7337
Ce 0.8764 0.8734 0.0069
Ce 0.0531 0.8812 0.3812
Ce 0.6845 0.8812 0.3812
Ce 0.6710 0.2599 0.7599
Ce 0.8638 0.8752 0.7705
Se 0.0842 0.6149 0.6426
Se 0.7631 0.6037 0.2858
Se 0.0520 0.8522 0.0438
Se 0.5000 0.2208 0.2792
Se 0.3475 0.7858 0.1037
Ce 0.8764 0.5069 0.3734
Se 0.1462 0.8019 0.3019
Se 0.5666 0.8186 0.5000
Ce 0.6907 0.7401 0.2401
Ce 0.7567 0.1266 0.9931
Se 0.8470 0.9030 0.4030
Se 0.2354 0.5000 0.5000
Ce 0.3155 0.1188 0.6188
Ce 0.4905 0.8752 0.7705
Se 0.7646 0.0000 0.0000
Ce 0.8638 0.2705 0.3752
Ce 0.1362 0.7295 0.6248
Se 0.2369 0.2142 0.8963
Se 0.9158 0.3851 0.3574
Ce 0.2433 0.8734 0.0069
Se 0.3418 0.3851 0.3574
Ce 0.1236 0.1266 0.9931
Se 0.8852 0.1814 0.5000
Se 0.6582 0.1426 0.1149
Ce 0.5095 0.7295 0.6248
Se 0.2354 0.0000 0.0000
Se 0.8538 0.1981 0.6981
Se 0.0000 0.7792 0.7208
Se 0.1148 0.0000 0.3186
Se 0.4837 0.7663 0.2663
Se 0.2501 0.1981 0.6981
Se 0.4334 0.0000 0.6814
Se 0.4334 0.1814 0.5000
Se 0.2369 0.3963 0.7142
Se 0.3294 0.7012 0.6400
Ce 0.1362 0.1248 0.2295
Se 0.9480 0.4562 0.6478
Se 0.9480 0.1478 0.9562
Se 0.1530 0.0970 0.5970
Se 0.8852 0.0000 0.6814
Se 0.6582 0.6149 0.6426
Se 0.7646 0.5000 0.5000
Se 0.9158 0.8574 0.8851
Ce 0.3290 0.7401 0.2401
Se 0.1148 0.8186 0.5000
Se 0.6525 0.3963 0.7142
Se 0.0842 0.1426 0.1149
Ce 0.1236 0.4931 0.6266
Se 0.7499 0.8019 0.3019
Se 0.6706 0.2988 0.3600
Se 0.6706 0.8600 0.7988
Ce 0.2433 0.5069 0.3734
Se 0.6525 0.2142 0.8963
Ce 0.5095 0.1248 0.2295
Se 0.5666 0.0000 0.3186
Se 0.7631 0.7858 0.1037
Ce 0.4905 0.2705 0.3752

---

This record from Materials Project describes a relaxed structure of NbNiTe5. The functional is PBE.

**Calculated formation energy**: -638 meV per atom
**Mass density**: 6.73 g/cm3

Cell lengths 7.1245, 7.1245, 15.2703 Å; angles 90.00, 90.00, 149.83 degrees
Element x y z (fractional)
Te 0.8328 0.1672 0.2500
Te 0.6001 0.3999 0.5761
Ni 0.0000 0.0000 0.0000
Nb 0.4906 0.5094 0.2500
Ni 0.0000 0.0000 0.5000
Te 0.3999 0.6001 0.0761
Te 0.0992 0.9008 0.3549
Te 0.0992 0.9008 0.1451
Te 0.6001 0.3999 0.9239
Te 0.3999 0.6001 0.4239
Nb 0.5094 0.4906 0.7500
Te 0.9008 0.0992 0.6451
Te 0.9008 0.0992 0.8549
Te 0.1672 0.8328 0.7500

---

This record from Materials Project describes a relaxed structure of Ta2V3Cu. The functional is PBE.

**Calculated formation energy**: -27 meV per atom
**Mass density**: 10.80 g/cm3

Cell lengths 4.9480, 4.9480, 8.3889 Å; angles 90.00, 90.00, 120.00 degrees
Element x y z (fractional)
Cu 0.0000 0.0000 0.0000
V 0.1739 0.8261 0.7500
V 0.3477 0.1739 0.2500
Ta 0.6667 0.3333 0.5590
V 0.8261 0.6523 0.2500
Ta 0.3333 0.6667 0.4410
Cu 0.0000 0.0000 0.5000
V 0.6523 0.8261 0.7500
Ta 0.6667 0.3333 0.9410
V 0.1739 0.3477 0.7500
Ta 0.3333 0.6667 0.0590
V 0.8261 0.1739 0.2500

---

This record from Materials Project describes a relaxed structure of CrN2. The functional is PBE.

**Calculated formation energy**: 58 meV per atom
**Mass density**: 3.05 g/cm3

Cell lengths 8.9404, 8.9404, 8.9404 Å; angles 151.57, 149.14, 42.45 degrees
Element x y z (fractional)
Cr 0.6887 0.4387 0.2500
N 0.0502 0.3722 0.1708
N 0.5574 0.2500 0.8074
Cr 0.8113 0.0613 0.7500
N 0.4498 0.6206 0.3219
N 0.7987 0.1278 0.1781
Cr 0.5607 0.8107 0.7500
N 0.7500 0.5774 0.8274
N 0.2500 0.9226 0.6726
N 0.7013 0.8794 0.3292
Cr 0.9393 0.6893 0.2500
N 0.9426 0.7500 0.6926

---

Which value of calculated formation energy does entry 2 give? -638 meV per atom